# Re3B

A relaxed Re3B crystal (r2SCAN, the Materials Project).

Summary:
Total moment ... 0.00 μB per formula unit
Formation enthalpy at 0 K ... -213 meV/atom
Space group ... Cmcm (63)

Lattice parameters (Å, degrees): 2.9048 4.8970 7.3050 90.00 90.00 107.25
Element x y z (fractional)
Re 0.8663 0.7326 0.4352
Re 0.1337 0.2674 0.5648
Re 0.4239 0.8479 0.7500
Re 0.5761 0.1521 0.2500
Re 0.8663 0.7326 0.0648
Re 0.1337 0.2674 0.9352
B 0.2548 0.5096 0.2500
B 0.7452 0.4904 0.7500



# EuTiO3

A relaxed EuTiO3 crystal (r2SCAN, the Materials Project).

Summary:
Total moment ... 6.97 μB per formula unit
Formation enthalpy at 0 K ... -3458 meV/atom
Space group ... Pm-3m (221)

Lattice parameters (Å, degrees): 3.9039 3.9039 3.9039 90.00 90.00 90.00
Element x y z (fractional)
Eu 0.0000 0.0000 0.0000
Ti 0.5000 0.5000 0.5000
O 0.0000 0.5000 0.5000
O 0.5000 0.0000 0.5000
O 0.5000 0.5000 0.0000



# ScSiPd

A relaxed ScSiPd crystal (r2SCAN, the Materials Project).

Summary:
Total moment ... 0.00 μB per formula unit
Formation enthalpy at 0 K ... -1001 meV/atom
Space group ... Pnma (62)

Lattice parameters (Å, degrees): 4.0686 6.5871 7.4238 90.00 90.00 90.00
Element x y z (fractional)
Sc 0.2500 0.0092 0.3065
Sc 0.2500 0.5092 0.1935
Sc 0.7500 0.9908 0.6935
Sc 0.7500 0.4908 0.8065
Si 0.2500 0.2826 0.6077
Si 0.2500 0.7826 0.8923
Si 0.7500 0.7174 0.3923
Si 0.7500 0.2174 0.1077
Pd 0.2500 0.1707 0.9276
Pd 0.2500 0.6707 0.5724
Pd 0.7500 0.8293 0.0724
Pd 0.7500 0.3293 0.4276



Q: Which mass density values were calculated for the entries above? A: 19.1, 6.9, 6.0, in Mg/m³.